Entry a
The following is a PBE calculation of a relaxed structure of Zr10Al6O, from the Materials Project.

a b c (Å): 8.282 8.282 5.587
angles (deg): 90.00 90.00 120.00
Sites, in units of the cell vectors:
1 Zr 0.000 0.767 0.252
2 Zr 0.233 0.233 0.252
3 Zr 0.767 0.000 0.252
4 Zr 0.000 0.233 0.748
5 Zr 0.767 0.767 0.748
6 Zr 0.233 0.000 0.748
7 Zr 0.333 0.667 0.500
8 Zr 0.667 0.333 0.500
9 Zr 0.667 0.333 0.000
10 Zr 0.333 0.667 0.000
11 Al 0.000 0.398 0.247
12 Al 0.602 0.602 0.247
13 Al 0.398 0.000 0.247
14 Al 0.000 0.602 0.753
15 Al 0.398 0.398 0.753
16 Al 0.602 0.000 0.753
17 O 0.000 0.000 0.500

---

Entry b
The following is a PBE calculation of a relaxed structure of Zr10Al6O, from the Materials Project.

a b c (Å): 14.272 14.272 5.646
angles (deg): 90.00 90.00 120.00
Sites, in units of the cell vectors:
1 Zr 0.323 0.984 0.495
2 Zr 0.661 0.677 0.495
3 Zr 0.016 0.339 0.495
4 Zr 0.661 0.984 0.495
5 Zr 0.016 0.677 0.495
6 Zr 0.323 0.339 0.495
7 Zr 0.675 0.016 0.995
8 Zr 0.342 0.325 0.995
9 Zr 0.984 0.658 0.995
10 Zr 0.342 0.016 0.995
11 Zr 0.984 0.325 0.995
12 Zr 0.675 0.658 0.995
13 Zr 0.079 0.921 0.261
14 Zr 0.843 0.921 0.261
15 Zr 0.079 0.157 0.261
16 Zr 0.923 0.077 0.754
17 Zr 0.155 0.077 0.754
18 Zr 0.923 0.845 0.754
19 Zr 0.411 0.589 0.246
20 Zr 0.177 0.589 0.246
21 Zr 0.411 0.823 0.246
22 Zr 0.589 0.411 0.742
23 Zr 0.823 0.411 0.742
24 Zr 0.589 0.177 0.742
25 Zr 0.744 0.256 0.229
26 Zr 0.512 0.256 0.229
27 Zr 0.744 0.488 0.229
28 Zr 0.256 0.744 0.730
29 Zr 0.489 0.744 0.730
30 Zr 0.256 0.511 0.730
31 Al 0.867 0.133 0.277
32 Al 0.265 0.133 0.277
33 Al 0.867 0.735 0.277
34 Al 0.133 0.867 0.786
35 Al 0.735 0.867 0.786
36 Al 0.133 0.265 0.786
37 Al 0.201 0.799 0.198
38 Al 0.599 0.799 0.198
39 Al 0.201 0.401 0.198
40 Al 0.800 0.200 0.698
41 Al 0.401 0.200 0.698
42 Al 0.800 0.599 0.698
43 Al 0.534 0.466 0.253
44 Al 0.933 0.466 0.253
45 Al 0.534 0.067 0.253
46 Al 0.466 0.534 0.753
47 Al 0.068 0.534 0.753
48 Al 0.466 0.932 0.753
49 O 0.333 0.667 0.485
50 O 0.667 0.333 0.985
51 O 0.000 0.000 0.508

---

Which is the most stable structure? entry b is the most stable.

---

Entry a
The following is a PBE calculation of a relaxed structure of AlPb3, from the Materials Project.

a b c (Å): 6.069 6.069 6.069
angles (deg): 133.18 133.18 68.37
Sites, in units of the cell vectors:
1 Al 0.000 0.000 0.000
2 Pb 0.750 0.250 0.500
3 Pb 0.250 0.750 0.500
4 Pb 0.500 0.500 0.000

---

Entry b
The following is a PBE calculation of a relaxed structure of AlPb3, from the Materials Project.

a b c (Å): 6.942 6.942 5.592
angles (deg): 90.00 90.00 120.00
Sites, in units of the cell vectors:
1 Al 0.667 0.333 0.250
2 Al 0.333 0.667 0.750
3 Pb 0.829 0.171 0.750
4 Pb 0.342 0.171 0.750
5 Pb 0.829 0.658 0.750
6 Pb 0.171 0.829 0.250
7 Pb 0.658 0.829 0.250
8 Pb 0.171 0.342 0.250

---

Which is the most stable structure? entry a is the most stable.

---

Entry a
The following is a PBE calculation of a relaxed structure of Pr3Al, from the Materials Project.

a b c (Å): 4.932 4.932 4.932
angles (deg): 90.00 90.00 90.00
Sites, in units of the cell vectors:
1 Pr 0.000 0.500 0.500
2 Pr 0.500 0.500 0.000
3 Pr 0.500 0.000 0.500
4 Al 0.000 0.000 0.000

---

Entry b
The following is a PBE calculation of a relaxed structure of Pr3Al, from the Materials Project.

a b c (Å): 5.473 7.160 7.160
angles (deg): 120.00 90.00 90.00
Sites, in units of the cell vectors:
1 Pr 0.750 0.822 0.178
2 Pr 0.750 0.357 0.178
3 Pr 0.750 0.822 0.643
4 Pr 0.250 0.178 0.822
5 Pr 0.250 0.643 0.822
6 Pr 0.250 0.178 0.357
7 Al 0.750 0.333 0.667
8 Al 0.250 0.667 0.333

---

Which is the most stable structure? entry b is the most stable.

---

Entry a
The following is a PBE calculation of a relaxed structure of Rb3Al, from the Materials Project.

a b c (Å): 7.177 7.177 7.177
angles (deg): 128.51 128.51 75.81
Sites, in units of the cell vectors:
1 Rb 0.750 0.250 0.500
2 Rb 0.250 0.750 0.500
3 Rb 0.500 0.500 0.000
4 Al 0.000 0.000 0.000

---

Entry b
The following is a PBE calculation of a relaxed structure of Rb3Al, from the Materials Project.

a b c (Å): 6.753 6.753 6.753
angles (deg): 60.00 60.00 60.00
Sites, in units of the cell vectors:
1 Rb 0.250 0.250 0.250
2 Rb 0.750 0.750 0.750
3 Rb 0.500 0.500 0.500
4 Al 0.000 0.000 0.000

---

Which is the most stable structure? entry b is the most stable.

---

Entry a
The following is a PBE calculation of a relaxed structure of Sm3Al, from the Materials Project.

a b c (Å): 4.848 4.848 4.848
angles (deg): 90.00 90.00 90.00
Sites, in units of the cell vectors:
1 Sm 0.000 0.500 0.500
2 Sm 0.500 0.500 0.000
3 Sm 0.500 0.000 0.500
4 Al 0.000 0.000 0.000

---

Entry b
The following is a PBE calculation of a relaxed structure of Sm3Al, from the Materials Project.

a b c (Å): 7.019 7.019 5.367
angles (deg): 90.00 90.00 120.00
Sites, in units of the cell vectors:
1 Sm 0.823 0.177 0.750
2 Sm 0.354 0.177 0.750
3 Sm 0.823 0.646 0.750
4 Sm 0.177 0.823 0.250
5 Sm 0.646 0.823 0.250
6 Sm 0.177 0.354 0.250
7 Al 0.667 0.333 0.250
8 Al 0.333 0.667 0.750

---

Which is the most stable structure? entry b is the most stable.

---

Entry a
The following is a PBE calculation of a relaxed structure of Ba10MgAs6Cl2O24, from the Materials Project.

a b c (Å): 10.828 11.138 7.756
angles (deg): 88.56 92.62 120.31
Sites, in units of the cell vectors:
1 Ba 0.688 0.323 0.499
2 Ba 0.312 0.677 0.501
3 Ba 0.005 0.251 0.262
4 Ba 0.343 0.674 0.007
5 Ba 0.741 0.746 0.255
6 Ba 0.255 0.006 0.238
7 Ba 0.745 0.994 0.762
8 Ba 0.995 0.749 0.738
9 Ba 0.657 0.326 0.993
10 Ba 0.259 0.254 0.745
11 Mg 0.500 0.500 0.500
12 As 0.962 0.594 0.233
13 As 0.598 0.611 0.798
14 As 0.370 0.965 0.741
15 As 0.402 0.389 0.202
16 As 0.038 0.406 0.767
17 As 0.630 0.035 0.259
18 Cl 0.000 0.000 0.000
19 Cl 0.000 0.000 0.500
20 O 0.624 0.747 0.943
21 O 0.417 0.562 0.295
22 O 0.324 0.295 0.396
23 O 0.414 0.544 0.724
24 O 0.090 0.359 0.585
25 O 0.583 0.438 0.705
26 O 0.854 0.322 0.773
27 O 0.112 0.585 0.759
28 O 0.586 0.456 0.276
29 O 0.738 0.087 0.084
30 O 0.114 0.368 0.945
31 O 0.888 0.415 0.241
32 O 0.463 0.876 0.751
33 O 0.886 0.632 0.055
34 O 0.910 0.641 0.415
35 O 0.482 0.141 0.730
36 O 0.376 0.253 0.057
37 O 0.745 0.099 0.440
38 O 0.146 0.678 0.227
39 O 0.262 0.913 0.916
40 O 0.518 0.859 0.270
41 O 0.255 0.901 0.560
42 O 0.676 0.705 0.604
43 O 0.537 0.124 0.249

---

Entry b
The following is a PBE calculation of a relaxed structure of Ba10MgAs6Cl2O24, from the Materials Project.

a b c (Å): 11.014 10.882 7.796
angles (deg): 88.40 91.79 117.05
Sites, in units of the cell vectors:
1 Ba 0.663 0.308 0.521
2 Ba 0.332 0.660 0.502
3 Ba 0.036 0.290 0.244
4 Ba 0.321 0.654 0.002
5 Ba 0.761 0.765 0.239
6 Ba 0.263 0.015 0.236
7 Ba 0.783 0.012 0.736
8 Ba 0.991 0.740 0.739
9 Ba 0.687 0.391 0.006
10 Ba 0.267 0.276 0.752
11 Mg 0.575 0.079 0.921
12 As 0.969 0.592 0.251
13 As 0.617 0.643 0.732
14 As 0.337 0.949 0.753
15 As 0.419 0.382 0.258
16 As 0.042 0.428 0.737
17 As 0.615 0.008 0.250
18 Cl 0.024 0.026 0.996
19 Cl 0.013 0.019 0.482
20 O 0.691 0.748 0.905
21 O 0.326 0.474 0.260
22 O 0.381 0.267 0.430
23 O 0.442 0.553 0.756
24 O 0.121 0.381 0.568
25 O 0.687 0.529 0.719
26 O 0.721 0.220 0.800
27 O 0.148 0.614 0.739
28 O 0.592 0.489 0.262
29 O 0.715 0.018 0.080
30 O 0.118 0.384 0.923
31 O 0.873 0.413 0.268
32 O 0.466 0.897 0.794
33 O 0.909 0.639 0.064
34 O 0.928 0.669 0.412
35 O 0.427 0.126 0.779
36 O 0.379 0.282 0.077
37 O 0.709 0.083 0.430
38 O 0.139 0.634 0.245
39 O 0.227 0.882 0.921
40 O 0.491 0.840 0.269
41 O 0.261 0.898 0.556
42 O 0.652 0.751 0.555
43 O 0.536 0.108 0.171

---

Which is the most stable structure? entry b is the most stable.

---

Entry a
The following is a PBE calculation of a relaxed structure of Ba10MgAs6Cl2O24, from the Materials Project.

a b c (Å): 11.136 10.748 7.896
angles (deg): 90.14 89.26 120.11
Sites, in units of the cell vectors:
1 Ba 0.652 0.315 0.497
2 Ba 0.386 0.652 0.490
3 Ba 0.996 0.265 0.255
4 Ba 0.309 0.670 0.025
5 Ba 0.760 0.751 0.252
6 Ba 0.253 0.990 0.257
7 Ba 0.736 0.004 0.745
8 Ba 0.956 0.759 0.791
9 Ba 0.655 0.324 0.002
10 Ba 0.256 0.255 0.756
11 Mg 0.127 0.708 0.497
12 As 0.966 0.581 0.193
13 As 0.610 0.626 0.756
14 As 0.350 0.955 0.758
15 As 0.399 0.363 0.246
16 As 0.026 0.414 0.738
17 As 0.634 0.025 0.241
18 Cl 0.015 0.021 0.027
19 Cl 0.989 0.010 0.528
20 O 0.703 0.754 0.907
21 O 0.315 0.460 0.234
22 O 0.348 0.256 0.427
23 O 0.433 0.539 0.791
24 O 0.104 0.373 0.574
25 O 0.671 0.507 0.737
26 O 0.847 0.316 0.737
27 O 0.084 0.598 0.713
28 O 0.578 0.468 0.261
29 O 0.739 0.102 0.064
30 O 0.094 0.391 0.923
31 O 0.850 0.400 0.261
32 O 0.444 0.867 0.735
33 O 0.853 0.609 0.060
34 O 0.960 0.682 0.380
35 O 0.459 0.138 0.749
36 O 0.368 0.255 0.071
37 O 0.736 0.089 0.419
38 O 0.253 0.734 0.319
39 O 0.255 0.894 0.944
40 O 0.557 0.841 0.229
41 O 0.222 0.905 0.606
42 O 0.648 0.727 0.572
43 O 0.525 0.097 0.250

---

Entry b
The following is a PBE calculation of a relaxed structure of Ba10MgAs6Cl2O24, from the Materials Project.

a b c (Å): 10.586 10.952 8.120
angles (deg): 95.39 90.98 117.74
Sites, in units of the cell vectors:
1 Ba 0.686 0.345 0.462
2 Ba 0.327 0.671 0.516
3 Ba 0.002 0.234 0.171
4 Ba 0.309 0.647 0.013
5 Ba 0.719 0.708 0.276
6 Ba 0.258 0.987 0.289
7 Ba 0.761 0.040 0.631
8 Ba 0.986 0.742 0.772
9 Ba 0.695 0.310 0.977
10 Ba 0.281 0.269 0.737
11 Mg 0.654 0.924 0.959
12 As 0.968 0.592 0.252
13 As 0.597 0.633 0.773
14 As 0.366 0.954 0.796
15 As 0.405 0.375 0.248
16 As 0.043 0.410 0.721
17 As 0.604 0.012 0.242
18 Cl 0.963 0.939 0.089
19 Cl 0.022 0.995 0.555
20 O 0.622 0.729 0.968
21 O 0.392 0.528 0.271
22 O 0.381 0.289 0.423
23 O 0.413 0.544 0.744
24 O 0.106 0.355 0.552
25 O 0.670 0.521 0.764
26 O 0.859 0.341 0.706
27 O 0.121 0.590 0.746
28 O 0.584 0.433 0.208
29 O 0.785 0.113 0.943
30 O 0.109 0.374 0.897
31 O 0.904 0.415 0.239
32 O 0.481 0.879 0.804
33 O 0.894 0.623 0.081
34 O 0.898 0.632 0.428
35 O 0.458 0.131 0.786
36 O 0.286 0.263 0.091
37 O 0.767 0.132 0.353
38 O 0.153 0.682 0.262
39 O 0.262 0.897 0.962
40 O 0.507 0.901 0.390
41 O 0.253 0.879 0.620
42 O 0.671 0.752 0.632
43 O 0.528 0.125 0.226

---

Which is the most stable structure? entry a is the most stable.